{"formula": "LiZnB3H12", "functional": "PBE", "state": "optimized geometry", "lattice_angstrom": [[0.014, 0.000, 8.840], [10.069, 0.000, -3.868], [0.000, 14.983, 0.000]], "species": ["Li", "Li", "Li", "Li", "Li", "Li", "Li", "Li", "Zn", "Zn", "Zn", "Zn", "Zn", "Zn", "Zn", "Zn", "B", "B", "B", "B", "B", "B", "B", "B", "B", "B", "B", "B", "B", "B", "B", "B", "B", "B", "B", "B", "B", "B", "B", "B", "H", "H", "H", "H", "H", "H", "H", "H", "H", "H", "H", "H", "H", "H", "H", "H", "H", "H", "H", "H", "H", "H", "H", "H", "H", "H", "H", "H", "H", "H", "H", "H", "H", "H", "H", "H", "H", "H", "H", "H", "H", "H", "H", "H", "H", "H", "H", "H", "H", "H", "H", "H", "H", "H", "H", "H", "H", "H", "H", "H", "H", "H", "H", "H", "H", "H", "H", "H", "H", "H", "H", "H", "H", "H", "H", "H", "H", "H", "H", "H", "H", "H", "H", "H", "H", "H", "H", "H", "H", "H", "H", "H", "H", "H", "H", "H"], "fractional_positions": [[0.751, 0.084, 0.372], [0.749, 0.916, 0.872], [0.249, 0.916, 0.628], [0.251, 0.084, 0.128], [0.756, 0.774, 0.405], [0.744, 0.226, 0.905], [0.244, 0.226, 0.595], [0.256, 0.774, 0.095], [0.253, 0.771, 0.387], [0.247, 0.229, 0.887], [0.747, 0.229, 0.613], [0.753, 0.771, 0.113], [0.111, 0.410, 0.232], [0.389, 0.590, 0.732], [0.889, 0.590, 0.768], [0.611, 0.410, 0.268], [0.146, 0.517, 0.105], [0.354, 0.483, 0.605], [0.854, 0.483, 0.895], [0.646, 0.517, 0.395], [0.225, 0.245, 0.238], [0.275, 0.755, 0.738], [0.775, 0.755, 0.762], [0.725, 0.245, 0.262], [0.511, 0.846, 0.441], [0.989, 0.154, 0.941], [0.489, 0.154, 0.559], [0.011, 0.846, 0.059], [0.072, 0.844, 0.500], [0.428, 0.156, 0.000], [0.928, 0.156, 0.500], [0.572, 0.844, 0.000], [0.127, 0.531, 0.368], [0.373, 0.469, 0.868], [0.873, 0.469, 0.632], [0.627, 0.531, 0.132], [0.309, 0.872, 0.242], [0.191, 0.128, 0.742], [0.691, 0.128, 0.758], [0.809, 0.872, 0.258], [0.203, 0.488, 0.039], [0.297, 0.512, 0.539], [0.797, 0.512, 0.961], [0.703, 0.488, 0.461], [0.089, 0.604, 0.098], [0.411, 0.396, 0.598], [0.911, 0.396, 0.902], [0.589, 0.604, 0.402], [0.023, 0.416, 0.124], [0.477, 0.584, 0.624], [0.977, 0.584, 0.876], [0.523, 0.416, 0.376], [0.254, 0.548, 0.164], [0.246, 0.452, 0.664], [0.746, 0.452, 0.836], [0.754, 0.548, 0.336], [0.153, 0.126, 0.247], [0.347, 0.874, 0.747], [0.847, 0.874, 0.753], [0.653, 0.126, 0.253], [0.213, 0.280, 0.161], [0.287, 0.720, 0.661], [0.787, 0.720, 0.839], [0.713, 0.280, 0.339], [0.163, 0.293, 0.298], [0.337, 0.707, 0.798], [0.837, 0.707, 0.702], [0.663, 0.293, 0.202], [0.868, 0.276, 0.242], [0.632, 0.724, 0.742], [0.132, 0.724, 0.758], [0.368, 0.276, 0.258], [0.384, 0.816, 0.487], [0.116, 0.184, 0.987], [0.616, 0.184, 0.513], [0.884, 0.816, 0.013], [0.492, 0.786, 0.370], [0.008, 0.214, 0.870], [0.508, 0.214, 0.630], [0.992, 0.786, 0.130], [0.557, 0.966, 0.430], [0.943, 0.034, 0.930], [0.443, 0.034, 0.570], [0.057, 0.966, 0.070], [0.598, 0.811, 0.490], [0.902, 0.189, 0.990], [0.402, 0.189, 0.510], [0.098, 0.811, 0.010], [0.121, 0.769, 0.542], [0.379, 0.231, 0.042], [0.879, 0.231, 0.458], [0.621, 0.769, 0.958], [0.924, 0.792, 0.495], [0.576, 0.208, 0.995], [0.076, 0.208, 0.505], [0.424, 0.792, 0.005], [0.110, 0.954, 0.534], [0.390, 0.046, 0.034], [0.890, 0.046, 0.466], [0.610, 0.954, 0.966], [0.130, 0.868, 0.423], [0.370, 0.132, 0.923], [0.870, 0.132, 0.577], [0.630, 0.868, 0.077], [0.100, 0.442, 0.420], [0.400, 0.558, 0.920], [0.900, 0.558, 0.580], [0.600, 0.442, 0.080], [0.030, 0.504, 0.303], [0.470, 0.496, 0.803], [0.970, 0.496, 0.697], [0.530, 0.504, 0.197], [0.077, 0.614, 0.404], [0.423, 0.386, 0.904], [0.923, 0.386, 0.596], [0.577, 0.614, 0.096], [0.269, 0.574, 0.344], [0.231, 0.426, 0.844], [0.731, 0.426, 0.656], [0.769, 0.574, 0.156], [0.378, 0.955, 0.297], [0.122, 0.045, 0.797], [0.622, 0.045, 0.703], [0.878, 0.955, 0.203], [0.194, 0.773, 0.271], [0.306, 0.227, 0.771], [0.806, 0.227, 0.729], [0.694, 0.773, 0.229], [0.233, 0.917, 0.191], [0.267, 0.083, 0.691], [0.767, 0.083, 0.809], [0.733, 0.917, 0.309], [0.403, 0.830, 0.204], [0.097, 0.170, 0.704], [0.597, 0.170, 0.796], [0.903, 0.830, 0.296]], "delta_e_f_mev_per_atom": -243, "energy_corrected_mp2020_ev_per_cell": -544.46, "space_group": "No. 14"}



{"formula": "LuBH4", "functional": "PBE", "state": "optimized geometry", "lattice_angstrom": [[-3.595, -1.047, -1.291], [1.990, -4.947, -1.530], [-0.467, 0.855, 6.684]], "species": ["Lu", "Lu", "Lu", "B", "B", "B", "H", "H", "H", "H", "H", "H", "H", "H", "H", "H", "H", "H"], "fractional_positions": [[0.000, 0.545, 0.000], [0.337, 0.889, 0.673], [0.663, 0.215, 0.327], [0.000, 0.057, 0.000], [0.334, 0.385, 0.669], [0.666, 0.716, 0.331], [0.907, 0.096, 0.813], [0.093, 0.283, 0.187], [0.742, 0.917, 0.000], [0.258, 0.917, 0.000], [0.077, 0.520, 0.674], [0.923, 0.847, 0.326], [0.421, 0.331, 0.842], [0.579, 0.489, 0.158], [0.597, 0.520, 0.674], [0.403, 0.846, 0.326], [0.240, 0.173, 0.480], [0.760, 0.693, 0.520]], "delta_e_f_mev_per_atom": -240, "energy_corrected_mp2020_ev_per_cell": -78.64, "space_group": "No. 44"}



no.,size of the total moment (μB/cell)
1,0.0
2,0.0